Record 1
# Li7CoOF7 | the Materials Project database | PBE with a Hubbard U | optimized geometry
# theoretical density	2.970	g/cm³
# formation enthalpy at 0 K	-2865	meV/atom
# energy	-4.943	eV per atom
# total energy after the MP2020 corrections	-5.2908	eV per atom
data_Li7CoOF7
_chemical_formula_sum 'Li28 Co4 O4 F28'
_cell_length_a 5.875
_cell_length_b 10.173
_cell_length_c 10.173
_cell_angle_alpha 70.63
_cell_angle_beta 89.93
_cell_angle_gamma 89.94
_symmetry_space_group_name_H-M 'P 1'
_symmetry_Int_Tables_number 1
loop_
_symmetry_equiv_pos_as_xyz
'x,y,z'
loop_
_atom_site_label
_atom_site_fract_x
_atom_site_fract_y
_atom_site_fract_z
Li1 0.000 0.000 0.000
Li2 0.000 0.249 0.750
Li3 0.000 0.500 0.500
Li4 0.000 0.750 0.250
Li5 0.258 0.998 0.748
Li6 0.260 0.247 0.500
Li7 0.260 0.502 0.751
Li8 0.260 0.750 0.997
Li9 0.260 0.752 0.503
Li10 0.261 0.001 0.252
Li11 0.261 0.251 0.002
Li12 0.261 0.499 0.249
Li13 0.479 0.000 0.501
Li14 0.480 0.250 0.250
Li15 0.480 0.500 0.000
Li16 0.480 0.751 0.750
Li17 0.495 0.000 0.000
Li18 0.495 0.250 0.750
Li19 0.495 0.500 0.500
Li20 0.495 0.750 0.250
Li21 0.739 0.245 0.995
Li22 0.740 0.496 0.745
Li23 0.740 0.505 0.255
Li24 0.740 0.995 0.246
Li25 0.741 0.254 0.506
Li26 0.741 0.745 0.495
Li27 0.741 0.756 0.004
Li28 0.742 0.005 0.755
Co1 0.025 0.000 0.498
Co2 0.026 0.748 0.750
Co3 0.027 0.250 0.250
Co4 0.027 0.499 0.000
O1 0.245 0.125 0.376
O2 0.245 0.625 0.875
O3 0.246 0.876 0.626
O4 0.247 0.375 0.125
F1 0.248 0.126 0.876
F2 0.248 0.375 0.625
F3 0.248 0.625 0.375
F4 0.248 0.875 0.126
F5 0.501 0.122 0.122
F6 0.501 0.372 0.872
F7 0.502 0.378 0.379
F8 0.502 0.622 0.622
F9 0.502 0.628 0.128
F10 0.502 0.871 0.372
F11 0.503 0.128 0.629
F12 0.503 0.878 0.879
F13 0.746 0.123 0.377
F14 0.746 0.125 0.875
F15 0.746 0.375 0.625
F16 0.746 0.625 0.375
F17 0.746 0.627 0.872
F18 0.746 0.875 0.125
F19 0.749 0.375 0.125
F20 0.751 0.875 0.626
F21 0.986 0.372 0.872
F22 0.986 0.378 0.379
F23 0.987 0.121 0.121
F24 0.987 0.629 0.129
F25 0.989 0.870 0.370
F26 0.990 0.620 0.620
F27 0.991 0.129 0.631
F28 0.991 0.880 0.880


Record 2
# CeVO4 | the Materials Project database | PBE with a Hubbard U | optimized geometry
# theoretical density	5.304	g/cm³
# formation enthalpy at 0 K	-3054	meV/atom
# energy	-8.114	eV per atom
# total energy after the MP2020 corrections	-8.8554	eV per atom
data_CeVO4
_chemical_formula_sum 'Ce4 V4 O16'
_cell_length_a 6.242
_cell_length_b 8.454
_cell_length_c 6.589
_cell_angle_alpha 90.00
_cell_angle_beta 113.28
_cell_angle_gamma 90.00
_symmetry_space_group_name_H-M 'P 1 21/c 1'
_symmetry_Int_Tables_number 14
loop_
_symmetry_equiv_pos_as_xyz
'x,y,z'
'-x,-y,-z'
'-x,y+1/2,-z+1/2'
'x,-y+1/2,z+1/2'
loop_
_atom_site_label
_atom_site_fract_x
_atom_site_fract_y
_atom_site_fract_z
Ce1 0.062 0.153 0.221
V1 0.424 0.652 0.764
O1 0.066 0.623 0.651
O2 0.232 0.159 0.599
O3 0.352 0.704 0.460
O4 0.425 0.054 0.281


Record 3
# V4O3F9 | the Materials Project database | PBE with a Hubbard U | optimized geometry
# theoretical density	3.305	g/cm³
# formation enthalpy at 0 K	-2941	meV/atom
# energy	-6.403	eV per atom
# energy above the lowest structure with this stoichiometry	0.014	eV per atom
# total energy after the MP2020 corrections	-7.2167	eV per atom
data_V4O3F9
_chemical_formula_sum 'V4 O3 F9'
_cell_length_a 5.181
_cell_length_b 5.417
_cell_length_c 7.578
_cell_angle_alpha 87.54
_cell_angle_beta 89.96
_cell_angle_gamma 88.90
_symmetry_space_group_name_H-M 'P 1'
_symmetry_Int_Tables_number 1
loop_
_symmetry_equiv_pos_as_xyz
'x,y,z'
loop_
_atom_site_label
_atom_site_fract_x
_atom_site_fract_y
_atom_site_fract_z
V1 0.000 0.000 0.000
V2 0.003 0.016 0.492
V3 0.496 0.509 0.501
V4 0.523 0.485 0.996
O1 0.247 0.702 0.533
O2 0.739 0.182 0.036
O3 0.811 0.264 0.459
F1 0.128 0.995 0.247
F2 0.224 0.290 0.941
F3 0.314 0.800 0.953
F4 0.318 0.195 0.551
F5 0.426 0.479 0.245
F6 0.623 0.493 0.746
F7 0.745 0.768 0.437
F8 0.828 0.680 0.048
F9 0.928 0.967 0.745


Record 4
# LiVP3O9 | the Materials Project database | PBE with a Hubbard U | optimized geometry
# theoretical density	2.727	g/cm³
# formation enthalpy at 0 K	-2639	meV/atom
# energy	-7.202	eV per atom
# energy above the lowest structure with this stoichiometry	0.001	eV per atom
# total energy after the MP2020 corrections	-7.7653	eV per atom
data_LiVP3O9
_chemical_formula_sum 'Li4 V4 P12 O36'
_cell_length_a 9.469
_cell_length_b 9.481
_cell_length_c 9.790
_cell_angle_alpha 109.93
_cell_angle_beta 104.37
_cell_angle_gamma 108.54
_symmetry_space_group_name_H-M 'P -1'
_symmetry_Int_Tables_number 2
loop_
_symmetry_equiv_pos_as_xyz
'x,y,z'
'-x,-y,-z'
loop_
_atom_site_label
_atom_site_fract_x
_atom_site_fract_y
_atom_site_fract_z
Li1 0.141 0.349 0.168
Li2 0.154 0.568 0.998
V1 0.248 0.729 0.774
V2 0.402 0.202 0.287
P1 0.011 0.651 0.394
P2 0.069 0.837 0.206
P3 0.193 0.069 0.909
P4 0.311 0.409 0.578
P5 0.444 0.711 0.337
P6 0.498 0.889 0.147
O1 0.002 0.676 0.056
O2 0.059 0.514 0.754
O3 0.072 0.101 0.790
O4 0.094 0.803 0.358
O5 0.129 0.677 0.542
O6 0.135 0.885 0.857
O7 0.136 0.311 0.573
O8 0.222 0.978 0.243
O9 0.229 0.184 0.078
O10 0.287 0.575 0.202
O11 0.304 0.355 0.412
O12 0.346 0.752 0.007
O13 0.350 0.142 0.873
O14 0.378 0.595 0.685
O15 0.409 0.339 0.673
O16 0.453 0.772 0.501
O17 0.468 0.932 0.819
O18 0.498 0.128 0.697


Record 5
# LiMn6O4F8 | the Materials Project database | PBE with a Hubbard U | optimized geometry
# theoretical density	3.972	g/cm³
# formation enthalpy at 0 K	-2523	meV/atom
# energy	-6.499	eV per atom
# energy above the lowest structure with this stoichiometry	0.007	eV per atom
# total energy after the MP2020 corrections	-7.3646	eV per atom
data_LiMn6O4F8
_chemical_formula_sum 'Li1 Mn6 O4 F8'
_cell_length_a 4.973
_cell_length_b 5.783
_cell_length_c 8.067
_cell_angle_alpha 86.38
_cell_angle_beta 87.68
_cell_angle_gamma 86.86
_symmetry_space_group_name_H-M 'P 1'
_symmetry_Int_Tables_number 1
loop_
_symmetry_equiv_pos_as_xyz
'x,y,z'
loop_
_atom_site_label
_atom_site_fract_x
_atom_site_fract_y
_atom_site_fract_z
Li1 0.000 0.000 0.000
Mn1 0.001 0.339 0.220
Mn2 0.004 0.979 0.536
Mn3 0.132 0.606 0.852
Mn4 0.480 0.133 0.872
Mn5 0.509 0.810 0.191
Mn6 0.519 0.478 0.533
O1 0.182 0.297 0.977
O2 0.217 0.687 0.617
O3 0.342 0.846 0.958
O4 0.818 0.281 0.450
F1 0.183 0.003 0.295
F2 0.313 0.180 0.625
F3 0.348 0.500 0.299
F4 0.646 0.429 0.779
F5 0.701 0.128 0.111
F6 0.708 0.776 0.429
F7 0.825 0.963 0.786
F8 0.872 0.656 0.088


Record 6
# Li2VF5 | the Materials Project database | PBE with a Hubbard U | optimized geometry
# theoretical density	2.697	g/cm³
# formation enthalpy at 0 K	-3128	meV/atom
# energy	-5.436	eV per atom
# energy above the lowest structure with this stoichiometry	0.079	eV per atom
# total energy after the MP2020 corrections	-5.9373	eV per atom
data_Li2VF5
_chemical_formula_sum 'Li16 V8 F40'
_cell_length_a 7.421
_cell_length_b 19.253
_cell_length_c 5.510
_cell_angle_alpha 90.00
_cell_angle_beta 90.00
_cell_angle_gamma 90.00
_symmetry_space_group_name_H-M 'P b a m'
_symmetry_Int_Tables_number 55
loop_
_symmetry_equiv_pos_as_xyz
'x,y,z'
'-x,-y,-z'
'-x,-y,z'
'x,y,-z'
'x+1/2,-y+1/2,-z'
'-x+1/2,y+1/2,z'
'-x+1/2,y+1/2,-z'
'x+1/2,-y+1/2,z'
loop_
_atom_site_label
_atom_site_fract_x
_atom_site_fract_y
_atom_site_fract_z
Li1 0.101 0.156 0.000
Li2 0.183 0.018 0.000
Li3 0.227 0.735 0.500
Li4 0.231 0.585 0.500
V1 0.001 0.654 0.000
V2 0.141 0.897 0.500
F1 0.033 0.075 0.239
F2 0.033 0.804 0.500
F3 0.039 0.248 0.000
F4 0.091 0.559 0.000
F5 0.189 0.362 0.249
F6 0.189 0.666 0.257
F7 0.235 0.485 0.500